# 1
Material: CaCoBiO5
Method: DFT, PBE with a Hubbard U
State: relaxed

Lattice parameters (Å, degrees): 5.569 11.348 15.516 90.00 90.00 90.00
Element x y z (fractional)
Ca 0.503 0.359 0.449
Ca 0.003 0.141 0.449
Ca 0.003 0.641 0.051
Ca 0.997 0.359 0.949
Ca 0.497 0.141 0.949
Ca 0.997 0.859 0.551
Ca 0.497 0.641 0.551
Ca 0.503 0.859 0.051
Co 0.982 0.406 0.599
Co 0.518 0.906 0.401
Co 0.018 0.594 0.401
Co 0.482 0.094 0.599
Co 0.018 0.094 0.099
Co 0.982 0.906 0.901
Co 0.518 0.406 0.099
Co 0.482 0.594 0.901
Bi 0.945 0.844 0.233
Bi 0.055 0.156 0.767
Bi 0.555 0.344 0.767
Bi 0.055 0.656 0.733
Bi 0.445 0.156 0.267
Bi 0.445 0.656 0.233
Bi 0.555 0.844 0.733
Bi 0.945 0.344 0.267
O 0.928 0.325 0.698
O 0.307 0.048 0.071
O 0.193 0.548 0.929
O 0.239 0.771 0.152
O 0.261 0.271 0.848
O 0.928 0.825 0.802
O 0.261 0.771 0.652
O 0.572 0.825 0.302
O 0.307 0.548 0.429
O 0.072 0.675 0.302
O 0.572 0.325 0.198
O 0.624 0.180 0.523
O 0.807 0.952 0.429
O 0.761 0.729 0.652
O 0.174 0.026 0.869
O 0.807 0.452 0.071
O 0.072 0.175 0.198
O 0.739 0.229 0.348
O 0.124 0.820 0.977
O 0.193 0.048 0.571
O 0.376 0.820 0.477
O 0.826 0.974 0.131
O 0.761 0.229 0.848
O 0.674 0.974 0.631
O 0.376 0.320 0.023
O 0.124 0.320 0.523
O 0.693 0.452 0.571
O 0.693 0.952 0.929
O 0.674 0.474 0.869
O 0.876 0.680 0.477
O 0.876 0.180 0.023
O 0.624 0.680 0.977
O 0.826 0.474 0.369
O 0.739 0.729 0.152
O 0.239 0.271 0.348
O 0.174 0.526 0.631
O 0.326 0.526 0.131
O 0.428 0.175 0.698
O 0.326 0.026 0.369
O 0.428 0.675 0.802

The calculation puts the energy above the most stable polymorph in this dataset at 68.4 meV/atom.


# 2
Material: CaCoBiO5
Method: DFT, PBE with a Hubbard U
State: relaxed

Lattice parameters (Å, degrees): 10.706 5.875 8.424 72.54 90.00 90.00
Element x y z (fractional)
Ca 0.094 0.539 0.810
Ca 0.906 0.461 0.190
Ca 0.594 0.461 0.690
Ca 0.406 0.539 0.310
Co 0.372 0.138 0.047
Co 0.628 0.862 0.953
Co 0.872 0.862 0.453
Co 0.128 0.138 0.547
Bi 0.899 0.008 0.846
Bi 0.101 0.992 0.154
Bi 0.601 0.008 0.346
Bi 0.399 0.992 0.654
O 0.934 0.823 0.662
O 0.029 0.256 0.683
O 0.786 0.148 0.338
O 0.457 0.776 0.491
O 0.718 0.707 0.483
O 0.782 0.707 0.983
O 0.471 0.256 0.183
O 0.529 0.744 0.817
O 0.543 0.224 0.509
O 0.434 0.177 0.838
O 0.282 0.293 0.517
O 0.066 0.177 0.338
O 0.566 0.823 0.162
O 0.218 0.293 0.017
O 0.957 0.224 0.009
O 0.043 0.776 0.991
O 0.214 0.852 0.662
O 0.971 0.744 0.317
O 0.286 0.852 0.162
O 0.714 0.148 0.838

The calculation puts the energy above the most stable polymorph in this dataset at 0.0 meV/atom.


# 3
Material: CaCrBi12Mo4O34
Method: DFT, PBE with a Hubbard U
State: relaxed

Lattice parameters (Å, degrees): 5.866 11.804 25.266 77.91 90.00 90.00
Element x y z (fractional)
Ca 0.000 0.000 0.500
Ca 0.000 0.000 0.000
Cr 0.505 0.000 0.750
Cr 0.495 0.000 0.250
Bi 0.418 0.341 0.745
Bi 0.418 0.659 0.755
Bi 0.582 0.659 0.255
Bi 0.582 0.341 0.245
Bi 0.920 0.540 0.674
Bi 0.920 0.460 0.826
Bi 0.080 0.460 0.326
Bi 0.080 0.540 0.174
Bi 0.515 0.743 0.600
Bi 0.515 0.257 0.900
Bi 0.485 0.257 0.400
Bi 0.485 0.743 0.100
Bi 0.993 0.770 0.341
Bi 0.993 0.230 0.159
Bi 0.007 0.230 0.659
Bi 0.007 0.770 0.841
Bi 0.512 0.418 0.592
Bi 0.512 0.582 0.908
Bi 0.488 0.582 0.408
Bi 0.488 0.418 0.092
Bi 0.004 0.863 0.678
Bi 0.004 0.137 0.822
Bi 0.996 0.137 0.322
Bi 0.996 0.863 0.178
Mo 0.497 0.077 0.577
Mo 0.497 0.923 0.923
Mo 0.503 0.923 0.423
Mo 0.503 0.077 0.077
Mo 0.009 0.670 0.512
Mo 0.009 0.330 0.988
Mo 0.991 0.330 0.488
Mo 0.991 0.670 0.012
O 0.225 0.500 0.750
O 0.775 0.500 0.250
O 0.733 0.500 0.750
O 0.267 0.500 0.250
O 0.242 0.638 0.340
O 0.242 0.362 0.160
O 0.758 0.362 0.660
O 0.758 0.638 0.840
O 0.771 0.728 0.667
O 0.771 0.272 0.833
O 0.229 0.272 0.333
O 0.229 0.728 0.167
O 0.267 0.739 0.664
O 0.267 0.261 0.836
O 0.733 0.261 0.336
O 0.733 0.739 0.164
O 0.750 0.629 0.345
O 0.750 0.371 0.155
O 0.250 0.371 0.655
O 0.250 0.629 0.845
O 0.089 0.758 0.757
O 0.089 0.242 0.743
O 0.911 0.242 0.243
O 0.911 0.758 0.257
O 0.570 0.561 0.634
O 0.570 0.439 0.866
O 0.430 0.439 0.366
O 0.430 0.561 0.134
O 0.672 0.118 0.743
O 0.672 0.882 0.757
O 0.328 0.882 0.257
O 0.328 0.118 0.243
O 0.922 0.802 0.532
O 0.922 0.198 0.968
O 0.078 0.198 0.468
O 0.078 0.802 0.032
O 0.483 0.196 0.612
O 0.483 0.804 0.888
O 0.517 0.804 0.388
O 0.517 0.196 0.112
O 0.222 0.006 0.576
O 0.222 0.994 0.924
O 0.778 0.994 0.424
O 0.778 0.006 0.076
O 0.057 0.693 0.439
O 0.057 0.307 0.061
O 0.943 0.307 0.561
O 0.943 0.693 0.939
O 0.254 0.612 0.552
O 0.254 0.388 0.948
O 0.746 0.388 0.448
O 0.746 0.612 0.052
O 0.708 0.967 0.603
O 0.708 0.033 0.897
O 0.292 0.033 0.397
O 0.292 0.967 0.103
O 0.589 0.134 0.510
O 0.589 0.866 0.990
O 0.411 0.866 0.490
O 0.411 0.134 0.010
O 0.779 0.571 0.528
O 0.779 0.429 0.972
O 0.221 0.429 0.472
O 0.221 0.571 0.028
O 0.340 0.008 0.696
O 0.340 0.992 0.804
O 0.660 0.992 0.304
O 0.660 0.008 0.196


# 4
Material: KCaFeBiO6
Method: DFT, PBE with a Hubbard U
State: relaxed

Lattice parameters (Å, degrees): 5.803 5.803 5.803 60.00 60.00 60.00
Element x y z (fractional)
K 0.250 0.250 0.250
Ca 0.750 0.750 0.750
Fe 0.500 0.500 0.500
Bi 0.000 0.000 0.000
O 0.743 0.257 0.257
O 0.257 0.743 0.743
O 0.743 0.257 0.743
O 0.257 0.743 0.257
O 0.743 0.743 0.257
O 0.257 0.257 0.743


# 5
Material: SrCaFeBiO6
Method: DFT, PBE with a Hubbard U
State: relaxed

Lattice parameters (Å, degrees): 5.779 5.779 5.779 60.00 60.00 60.00
Element x y z (fractional)
Sr 0.250 0.250 0.250
Ca 0.750 0.750 0.750
Fe 0.500 0.500 0.500
Bi 0.000 0.000 0.000
O 0.744 0.256 0.256
O 0.256 0.744 0.744
O 0.744 0.256 0.744
O 0.256 0.744 0.256
O 0.744 0.744 0.256
O 0.256 0.256 0.744


# 6
Material: Ca10V5Fe15Bi2O48
Method: DFT, PBE with a Hubbard U
State: relaxed

Lattice parameters (Å, degrees): 10.901 10.900 10.905 109.25 109.59 109.52
Element x y z (fractional)
Ca 0.626 0.872 0.248
Ca 0.125 0.746 0.373
Ca 0.750 0.875 0.625
Ca 0.124 0.379 0.252
Ca 0.624 0.747 0.876
Ca 0.376 0.253 0.124
Ca 0.876 0.621 0.748
Ca 0.250 0.125 0.375
Ca 0.374 0.128 0.752
Ca 0.875 0.254 0.627
V 0.000 0.000 0.500
V 0.500 0.000 0.500
V 0.500 0.000 0.000
V 0.000 0.000 0.000
V 0.500 0.500 0.500
Fe 0.251 0.877 0.126
Fe 0.125 0.875 0.751
Fe 0.374 0.626 0.251
Fe 0.875 0.751 0.127
Fe 0.374 0.749 0.623
Fe 0.000 0.500 0.500
Fe 0.750 0.627 0.377
Fe 0.250 0.373 0.623
Fe 0.500 0.500 0.000
Fe 0.626 0.374 0.749
Fe 0.626 0.251 0.377
Fe 0.125 0.249 0.873
Fe 0.000 0.500 0.000
Fe 0.875 0.125 0.249
Fe 0.749 0.123 0.874
Bi 0.243 0.614 0.873
Bi 0.757 0.386 0.127
O 0.018 0.907 0.330
O 0.671 0.983 0.095
O 0.408 0.891 0.080
O 0.309 0.924 0.328
O 0.112 0.923 0.596
O 0.390 0.907 0.579
O 0.519 0.830 0.407
O 0.178 0.581 0.202
O 0.418 0.623 0.098
O 0.679 0.705 0.081
O 0.081 0.680 0.703
O 0.808 0.980 0.885
O 0.809 0.830 0.425
O 0.425 0.812 0.828
O 0.180 0.599 0.478
O 0.518 0.690 0.613
O 0.098 0.682 0.979
O 0.982 0.889 0.811
O 0.390 0.483 0.312
O 0.915 0.595 0.122
O 0.596 0.476 0.180
O 0.690 0.616 0.520
O 0.097 0.418 0.622
O 0.890 0.812 0.983
O 0.110 0.188 0.017
O 0.903 0.582 0.378
O 0.310 0.384 0.480
O 0.404 0.524 0.820
O 0.085 0.405 0.878
O 0.610 0.517 0.688
O 0.018 0.111 0.189
O 0.902 0.318 0.021
O 0.482 0.310 0.387
O 0.820 0.401 0.522
O 0.575 0.188 0.172
O 0.191 0.170 0.575
O 0.192 0.020 0.115
O 0.919 0.320 0.297
O 0.321 0.295 0.919
O 0.582 0.377 0.902
O 0.822 0.419 0.798
O 0.481 0.170 0.593
O 0.610 0.093 0.421
O 0.888 0.077 0.404
O 0.691 0.076 0.672
O 0.592 0.109 0.920
O 0.329 0.017 0.905
O 0.982 0.093 0.670


Number 1: calculated formation energy -1.745 eV/atom, electronic total energy -5.83 eV per atom, total magnetization 0.50 μB/atom. Number 2: calculated formation energy -1.813 eV/atom, electronic total energy -5.90 eV per atom, total magnetization 0.50 μB/atom. Number 3: calculated formation energy -1.885 eV/atom, electronic total energy -6.34 eV per atom, total magnetization 0.00 μB/atom. Number 4: calculated formation energy -1.726 eV/atom, electronic total energy -5.60 eV per atom, total magnetization 0.59 μB/atom. Number 5: calculated formation energy -2.156 eV/atom, electronic total energy -6.09 eV per atom, total magnetization 0.50 μB/atom. Number 6: calculated formation energy -2.264 eV/atom, electronic total energy -6.79 eV per atom, total magnetization 0.94 μB/atom.